[1]
# TiB2Mo, optimized geometry, DFT PBE
data_TiB2Mo
_space_group_name_H-M_alt 'A m m 2'
_space_group_IT_number 38
_space_group_name_Hall 'A 2 -2'
_cell_length_a 3.088
_cell_length_b 3.180
_cell_length_c 8.456
_cell_angle_alpha 90.00
_cell_angle_beta 90.00
_cell_angle_gamma 90.00
loop_
_atom_site_label
_atom_site_type_symbol
_atom_site_fract_x
_atom_site_fract_y
_atom_site_fract_z
Ti1 Ti 0.000 0.000 0.000
B1 B 0.000 0.000 0.294
B2 B 0.500 0.000 0.411
Mo1 Mo 0.500 0.000 0.707
# * E: -0.32487 hartree per atom

=====

[2]
# Mn3CoN3, optimized geometry, DFT PBE
data_Mn3CoN3
_space_group_name_H-M_alt 'P 1 21/m 1'
_space_group_IT_number 11
_space_group_name_Hall '-P 2yb'
_cell_length_a 6.301
_cell_length_b 3.863
_cell_length_c 6.309
_cell_angle_alpha 90.00
_cell_angle_beta 110.06
_cell_angle_gamma 90.00
loop_
_atom_site_label
_atom_site_type_symbol
_atom_site_fract_x
_atom_site_fract_y
_atom_site_fract_z
Mn1 Mn 0.128 0.250 0.318
Mn2 Mn 0.179 0.250 0.822
Mn3 Mn 0.318 0.750 0.129
Co1 Co 0.388 0.750 0.612
N1 N 0.151 0.750 0.340
N2 N 0.206 0.750 0.795
N3 N 0.339 0.250 0.152
# * magnetic moment: 11.95 μB per cell
# * E: -0.31616 hartree per atom

=====

[3]
# SnH4Cl4O2, optimized geometry, DFT PBE
data_SnH4Cl4O2
_space_group_name_H-M_alt 'P b c n'
_space_group_IT_number 60
_space_group_name_Hall '-P 2n 2ab'
_cell_length_a 9.716
_cell_length_b 7.819
_cell_length_c 11.571
_cell_angle_alpha 90.00
_cell_angle_beta 90.00
_cell_angle_gamma 90.00
loop_
_atom_site_label
_atom_site_type_symbol
_atom_site_fract_x
_atom_site_fract_y
_atom_site_fract_z
Sn1 Sn 0.000 0.074 0.250
H1 H 0.021 0.183 0.572
H2 H 0.169 0.172 0.635
Cl1 Cl 0.085 0.276 0.105
Cl2 Cl 0.215 0.033 0.342
O1 O 0.070 0.149 0.642
# * magnetic moment: 0.01 μB per cell
# * E: -0.15291 hartree per atom

=====

[4]
# EuAu3, optimized geometry, DFT PBE
data_EuAu3
_space_group_name_H-M_alt 'I 4/m m m'
_space_group_IT_number 139
_space_group_name_Hall '-I 4 2'
_cell_length_a 4.796
_cell_length_b 4.796
_cell_length_c 7.685
_cell_angle_alpha 90.00
_cell_angle_beta 90.00
_cell_angle_gamma 90.00
loop_
_atom_site_label
_atom_site_type_symbol
_atom_site_fract_x
_atom_site_fract_y
_atom_site_fract_z
Eu1 Eu 0.000 0.000 0.000
Au1 Au 0.000 0.000 0.500
Au2 Au 0.000 0.500 0.250
# * magnetic moment: 13.64 μB per cell
# * E: -0.20417 hartree per atom

=====

[5]
# Si2SnO6, optimized geometry, DFT PBE
data_Si2SnO6
_space_group_name_H-M_alt 'C 1 2/c 1'
_space_group_IT_number 15
_space_group_name_Hall '-C 2yc'
_cell_length_a 9.832
_cell_length_b 9.040
_cell_length_c 5.415
_cell_angle_alpha 90.00
_cell_angle_beta 109.47
_cell_angle_gamma 90.00
loop_
_atom_site_label
_atom_site_type_symbol
_atom_site_fract_x
_atom_site_fract_y
_atom_site_fract_z
Si1 Si 0.199 0.083 0.243
Sn1 Sn 0.000 0.389 0.250
O1 O 0.119 0.432 0.645
O2 O 0.144 0.007 0.467
O3 O 0.148 0.253 0.198
# * E: -0.26854 hartree per atom

=====

[6]
# V6Ga7, optimized geometry, DFT PBE
data_V6Ga7
_space_group_name_H-M_alt 'F m m 2'
_space_group_IT_number 42
_space_group_name_Hall 'F 2 -2'
_cell_length_a 12.870
_cell_length_b 12.963
_cell_length_c 9.139
_cell_angle_alpha 90.00
_cell_angle_beta 90.00
_cell_angle_gamma 90.00
loop_
_atom_site_label
_atom_site_type_symbol
_atom_site_fract_x
_atom_site_fract_y
_atom_site_fract_z
V1 V 0.000 0.000 0.000
V2 V 0.000 0.000 0.293
V3 V 0.000 0.107 0.537
V4 V 0.000 0.174 0.816
V5 V 0.166 0.000 0.471
V6 V 0.176 0.180 0.642
Ga1 Ga 0.000 0.190 0.107
Ga2 Ga 0.102 0.000 0.743
Ga3 Ga 0.140 0.172 0.332
Ga4 Ga 0.174 0.140 0.956
Ga5 Ga 0.186 0.000 0.172
# * magnetic moment: 13.39 μB per cell
# * E: -0.21955 hartree per atom

=====

no.,E_form (eV/atom)
1,-0.82
2,-0.24
3,-1.12
4,-0.54
5,-2.82
6,-0.15